(a)
# Nb2Co4O9 (r²SCAN, optimized geometry)
data_Nb2Co4O9
_symmetry_space_group_name_H-M 'P 1'
_symmetry_Int_Tables_number 1
_cell_length_a 5.0574
_cell_length_b 5.1564
_cell_length_c 14.2607
_cell_angle_alpha 92.69
_cell_angle_beta 90.28
_cell_angle_gamma 59.94
loop_
_symmetry_equiv_pos_as_xyz
'x,y,z'
loop_
_atom_site_label
_atom_site_fract_x
_atom_site_fract_y
_atom_site_fract_z
Nb1 0.9909 0.0247 0.6423
Nb2 0.0165 0.9763 0.8552
Nb3 0.0079 0.9741 0.3577
Nb4 0.9841 0.0256 0.1448
Co1 0.3388 0.3387 0.0138
Co2 0.6623 0.6627 0.9861
Co3 0.6779 0.6678 0.6927
Co4 0.3220 0.3318 0.3075
Co5 0.6720 0.6629 0.4858
Co6 0.3270 0.3355 0.5143
Co7 0.3293 0.3441 0.8198
Co8 0.6710 0.6562 0.1801
O1 0.7063 0.2849 0.2533
O2 0.9904 0.6969 0.2479
O3 0.3113 0.9781 0.2488
O4 0.2936 0.7152 0.7468
O5 0.0096 0.3031 0.7520
O6 0.6887 0.0218 0.7514
O7 0.3407 0.9869 0.5806
O8 0.6692 0.3558 0.5823
O9 0.9720 0.6822 0.5859
O10 0.3189 0.0167 0.9229
O11 0.0200 0.6452 0.9156
O12 0.6421 0.3304 0.9104
O13 0.6587 0.0116 0.4196
O14 0.3298 0.6428 0.4177
O15 0.0272 0.3165 0.4141
O16 0.6822 0.9843 0.0771
O17 0.9809 0.3560 0.0842
O18 0.3587 0.6710 0.0895
# theoretical density: 5.84 g cm⁻³

(b)
# Nb2Co4O9 (r²SCAN, optimized geometry)
data_Nb2Co4O9
_symmetry_space_group_name_H-M 'P 1'
_symmetry_Int_Tables_number 1
_cell_length_a 5.1240
_cell_length_b 5.1125
_cell_length_c 14.1965
_cell_angle_alpha 90.00
_cell_angle_beta 90.86
_cell_angle_gamma 60.38
loop_
_symmetry_equiv_pos_as_xyz
'x,y,z'
loop_
_atom_site_label
_atom_site_fract_x
_atom_site_fract_y
_atom_site_fract_z
Nb1 0.0009 0.9973 0.6420
Nb2 0.0031 0.0029 0.8583
Nb3 0.9822 0.0061 0.3579
Nb4 0.0146 0.0015 0.1440
Co1 0.3260 0.3346 0.5100
Co2 0.6792 0.6670 0.9871
Co3 0.3405 0.3306 0.8085
Co4 0.6625 0.6687 0.1820
Co5 0.6552 0.6701 0.4886
Co6 0.3460 0.3287 0.0125
Co7 0.6662 0.6661 0.6913
Co8 0.3248 0.3428 0.3062
O1 0.6975 0.3059 0.2491
O2 0.9798 0.7075 0.2485
O3 0.2846 0.0020 0.2525
O4 0.2960 0.7054 0.7507
O5 0.0023 0.2942 0.7501
O6 0.7090 0.9976 0.7505
O7 0.3459 0.9804 0.5841
O8 0.6692 0.3462 0.5841
O9 0.9786 0.6724 0.5826
O10 0.3364 0.0177 0.9167
O11 0.0329 0.6508 0.9181
O12 0.6637 0.3242 0.9188
O13 0.6410 0.0221 0.4168
O14 0.3158 0.6566 0.4161
O15 0.0099 0.3279 0.4175
O16 0.6773 0.9723 0.0880
O17 0.9974 0.3361 0.0798
O18 0.3617 0.6643 0.0875
# theoretical density: 5.81 g cm⁻³

(b) takes first place; second place is 17 meV per atom up.